Record 1
VASP calculation (GGA-PBE) on a relaxed structure of Nd2Sn2O7.

Lattice parameters (Å, degrees): 7.5770 7.5770 7.5770 60.00 60.00 60.00
Fractional coordinates of all 22 atoms:
Nd  0.0000  0.0000  0.0000
Nd  0.0000  0.0000  0.5000
Nd  0.0000  0.5000  0.0000
Nd  0.5000  0.0000  0.0000
Sn  0.0000  0.5000  0.5000
Sn  0.5000  0.0000  0.5000
Sn  0.5000  0.5000  0.0000
Sn  0.5000  0.5000  0.5000
O  0.1250  0.1250  0.1250
O  0.1658  0.1658  0.5842
O  0.1658  0.5842  0.1658
O  0.1658  0.5842  0.5842
O  0.4158  0.4158  0.8342
O  0.4158  0.8342  0.4158
O  0.4158  0.8342  0.8342
O  0.5842  0.1658  0.1658
O  0.5842  0.1658  0.5842
O  0.5842  0.5842  0.1658
O  0.8342  0.4158  0.4158
O  0.8342  0.4158  0.8342
O  0.8342  0.8342  0.4158
O  0.8750  0.8750  0.8750

Calculated formation energy: -2974.8 meV per atom
Space-group type: No. 227

=====

Record 2
VASP calculation (GGA-PBE) on a relaxed structure of Li2B11H11.

Lattice parameters (Å, degrees): 8.0463 6.9235 7.1231 69.88 53.90 56.23
Fractional coordinates of all 24 atoms:
Li  0.0000  0.0000  0.5000
Li  0.5000  0.5000  0.0000
B  0.0155  0.0155  0.9845
B  0.1114  0.8274  0.1726
B  0.1448  0.6701  0.0102
B  0.6647  0.8854  0.3353
B  0.6701  0.1448  0.1749
B  0.6846  0.9378  0.0622
B  0.8251  0.9898  0.3299
B  0.8274  0.1114  0.8886
B  0.8854  0.6647  0.1146
B  0.9378  0.6846  0.3154
B  0.9898  0.8251  0.8552
H  0.1069  0.7321  0.6698
H  0.1235  0.1235  0.8765
H  0.2608  0.8059  0.1941
H  0.3302  0.5089  0.8931
H  0.4913  0.8887  0.5087
H  0.5089  0.3302  0.2679
H  0.5376  0.9565  0.0435
H  0.7321  0.1069  0.4911
H  0.8059  0.2608  0.7392
H  0.8887  0.4913  0.1113
H  0.9565  0.5376  0.4624

Calculated formation energy: -304.5 meV per atom
Space-group type: No. 42

=====

Record 3
VASP calculation (GGA-PBE) on a relaxed structure of YGaN2.

Lattice parameters (Å, degrees): 5.8637 6.9880 5.8381 90.00 109.35 90.00
Fractional coordinates of all 16 atoms:
Y  0.1169  0.1053  0.2914
Y  0.1169  0.3947  0.7914
Y  0.8831  0.6053  0.2086
Y  0.8831  0.8947  0.7086
Ga  0.3911  0.6548  0.3840
Ga  0.3911  0.8452  0.8840
Ga  0.6089  0.1548  0.1160
Ga  0.6089  0.3452  0.6160
N  0.2268  0.6625  0.0317
N  0.2268  0.8375  0.5317
N  0.2635  0.1047  0.9684
N  0.2635  0.3953  0.4684
N  0.7365  0.6047  0.5316
N  0.7365  0.8953  0.0316
N  0.7732  0.1625  0.4683
N  0.7732  0.3375  0.9683

Calculated formation energy: -1050.2 meV per atom
Space-group type: No. 14

=====

- Number 1 is which compound?
  Nd2Sn2O7

=====

- What is the calculated formation energy in the third record?
  -1050.2 meV per atom

=====

Repeat the third record exactly.
VASP calculation (GGA-PBE) on a relaxed structure of YGaN2.

Lattice parameters (Å, degrees): 5.8637 6.9880 5.8381 90.00 109.35 90.00
Fractional coordinates of all 16 atoms:
Y  0.1169  0.1053  0.2914
Y  0.1169  0.3947  0.7914
Y  0.8831  0.6053  0.2086
Y  0.8831  0.8947  0.7086
Ga  0.3911  0.6548  0.3840
Ga  0.3911  0.8452  0.8840
Ga  0.6089  0.1548  0.1160
Ga  0.6089  0.3452  0.6160
N  0.2268  0.6625  0.0317
N  0.2268  0.8375  0.5317
N  0.2635  0.1047  0.9684
N  0.2635  0.3953  0.4684
N  0.7365  0.6047  0.5316
N  0.7365  0.8953  0.0316
N  0.7732  0.1625  0.4683
N  0.7732  0.3375  0.9683

Calculated formation energy: -1050.2 meV per atom
Space-group type: No. 14

=====

- Number 1 is which compound?
  Nd2Sn2O7